1.
Nd3Ir | PBE-GGA | optimized geometry

The structure belongs to space group Pnma (No. 62); the cell edges are 7.401, 9.868 and 6.556 Å and the angles 90.00°, 90.00° and 90.00°. The inequivalent atoms are Nd at (0.034, 0.250, 0.138), Nd at (0.175, 0.065, 0.671) and Ir at (0.117, 0.750, 0.439).

---

2.
NdIr3 | PBE-GGA | optimized geometry

The structure belongs to space group R-3m (No. 166, hexagonal axes); the cell edges are 5.3818, 5.3818 and 26.5407 Å and the angles 90.00°, 90.00° and 120.00°. The inequivalent atoms are Nd at (0.0000, 0.0000, 0.0000), Nd at (0.0000, 0.0000, 0.1394), Ir at (0.0000, 0.0000, 0.3322), Ir at (0.0000, 0.0000, 0.5000) and Ir at (0.0027, 0.5014, 0.0805).

---

3.
Nd5Ir3 | PBE-GGA | optimized geometry

The structure belongs to space group P4/ncc (No. 130, origin choice 2); the cell edges are 11.262, 11.262 and 6.605 Å and the angles 90.00°, 90.00° and 90.00°. The inequivalent atoms are Nd at (0.042, 0.160, 0.118), Nd at (0.250, 0.750, 0.000), Ir at (0.096, 0.596, 0.750) and Ir at (0.250, 0.250, 0.380).

---

4.
NdIr2 | PBE-GGA | optimized geometry

The structure belongs to space group Fd-3m (No. 227, origin choice 2); the cell edges are 7.698, 7.698 and 7.698 Å and the angles 90.00°, 90.00° and 90.00°. The inequivalent atoms are Nd at (0.125, 0.125, 0.125) and Ir at (0.000, 0.000, 0.500).

---

5.
NdIr3 | PBE-GGA | optimized geometry

The structure belongs to space group Pm-3m (No. 221); the cell edges are 4.134, 4.134 and 4.134 Å and the angles 90.00°, 90.00° and 90.00°. The inequivalent atoms are Nd at (0.000, 0.000, 0.000) and Ir at (0.000, 0.500, 0.500).

---

6.
Nd2NiIr | PBE-GGA | optimized geometry

The structure belongs to space group Fm-3m (No. 225); the cell edges are 7.079, 7.079 and 7.079 Å and the angles 90.00°, 90.00° and 90.00°. The inequivalent atoms are Nd at (0.250, 0.250, 0.250), Ni at (0.000, 0.000, 0.000) and Ir at (0.000, 0.000, 0.500).

---

7.
Nd3IrO7 | PBE-GGA | optimized geometry

The polymorph energy (0 for the lowest one) comes out at 2 meV per atom.

The structure belongs to space group Cmcm (No. 63); the cell edges are 10.973, 7.528 and 7.601 Å and the angles 90.00°, 90.00° and 90.00°. The inequivalent atoms are Nd at (0.000, 0.000, 0.000), Nd at (0.222, 0.302, 0.250), Ir at (0.000, 0.500, 0.000), O at (0.000, 0.411, 0.250), O at (0.126, 0.314, 0.538) and O at (0.132, 0.024, 0.250).

---

8.
Nd3IrO7 | PBE-GGA | optimized geometry

The polymorph energy (0 for the lowest one) comes out at 0 meV per atom.

The structure belongs to space group P2_1/c (No. 14); the cell edges are 6.629, 7.605 and 13.326 Å and the angles 90.00°, 110.93° and 90.00°. The inequivalent atoms are Nd at (0.005, 0.002, 0.260), Nd at (0.079, 0.749, 0.512), Nd at (0.475, 0.244, 0.210), Ir at (0.500, 0.000, 0.000), Ir at (0.500, 0.000, 0.500), O at (0.106, 0.241, 0.171), O at (0.156, 0.739, 0.695), O at (0.179, 0.036, 0.463), O at (0.205, 0.044, 0.988), O at (0.408, 0.749, 0.457), O at (0.413, 0.037, 0.840) and O at (0.454, 0.037, 0.348).

---

E per entry: -0.2292 -0.3070 -0.2543 -0.3011 -0.2939 -0.2382 -0.2872 -0.2873 Ha/atom